No. 1
{"formula": "CsFeNiF6", "functional": "r2SCAN", "state": "relaxed", "energy_ev_per_atom": -10.4281, "crystal_system": "orthorhombic", "e_form_ev_per_atom": -2.62, "spacegroup": "No. 74", "cell": [[-3.6292, 3.6869, 5.1664], [3.6292, -3.6869, 5.1664], [3.6292, 3.6869, -5.1664]], "species": ["Cs", "Cs", "Fe", "Fe", "Ni", "Ni", "F", "F", "F", "F", "F", "F", "F", "F", "F", "F", "F", "F"], "frac_coords": [[0.8686, 0.6186, 0.2500], [0.1314, 0.3814, 0.7500], [0.5000, 0.0000, 0.5000], [0.0000, 0.0000, 0.0000], [0.5000, 0.0000, 0.0000], [0.5000, 0.5000, 0.5000], [0.8171, 0.0671, 0.7500], [0.4260, 0.6760, 0.7500], [0.8237, 0.6866, 0.7561], [0.4305, 0.0676, 0.7439], [0.8237, 0.0676, 0.1371], [0.4305, 0.6866, 0.3629], [0.1829, 0.9329, 0.2500], [0.5740, 0.3240, 0.2500], [0.1763, 0.3134, 0.2439], [0.5695, 0.9324, 0.2561], [0.1763, 0.9324, 0.8629], [0.5695, 0.3134, 0.6371]]}

=====

No. 2
{"formula": "Sc6Ga16Ir7", "functional": "r2SCAN", "state": "relaxed", "energy_ev_per_atom": -22.0222, "crystal_system": "cubic", "e_form_ev_per_atom": -0.71, "spacegroup": "No. 225", "cell": [[-0.0001, 6.1804, 6.1804], [6.1803, -0.0001, 6.1804], [6.1804, 6.1804, -0.0001]], "species": ["Sc", "Sc", "Sc", "Sc", "Sc", "Sc", "Ga", "Ga", "Ga", "Ga", "Ga", "Ga", "Ga", "Ga", "Ga", "Ga", "Ga", "Ga", "Ga", "Ga", "Ga", "Ga", "Ir", "Ir", "Ir", "Ir", "Ir", "Ir", "Ir"], "frac_coords": [[0.7205, 0.7205, 0.2795], [0.2795, 0.7205, 0.2795], [0.7205, 0.2795, 0.2795], [0.2795, 0.2795, 0.7205], [0.7205, 0.2795, 0.7205], [0.2795, 0.7205, 0.7205], [0.8756, 0.8756, 0.3731], [0.8756, 0.3731, 0.8756], [0.3731, 0.8756, 0.8756], [0.8756, 0.8756, 0.8756], [0.1244, 0.1244, 0.6269], [0.1244, 0.6269, 0.1244], [0.6269, 0.1244, 0.1244], [0.1244, 0.1244, 0.1244], [0.6541, 0.6541, 0.0378], [0.6541, 0.0378, 0.6541], [0.0378, 0.6541, 0.6541], [0.6541, 0.6541, 0.6541], [0.3459, 0.3459, 0.9622], [0.3459, 0.9622, 0.3459], [0.9622, 0.3459, 0.3459], [0.3459, 0.3459, 0.3459], [0.0000, 0.0000, 0.0000], [0.0000, 0.0000, 0.5000], [0.5000, 0.0000, 0.5000], [0.0000, 0.5000, 0.5000], [0.5000, 0.5000, 0.0000], [0.0000, 0.5000, 0.0000], [0.5000, 0.0000, 0.0000]]}

=====

No. 3
{"formula": "AlRh", "functional": "r2SCAN", "state": "relaxed", "energy_ev_per_atom": -16.6117, "crystal_system": "cubic", "e_form_ev_per_atom": -1.18, "spacegroup": "No. 221", "cell": [[-2.1919, 2.0007, 0.2392], [-1.3900, -1.7573, 1.9606], [1.4587, 1.3318, 2.2278]], "species": ["Al", "Rh"], "frac_coords": [[0.0000, 0.0000, 0.0000], [0.5000, 0.5000, 0.5000]]}

=====

No. 4
{"formula": "Zr3Sb", "functional": "r2SCAN", "state": "relaxed", "energy_ev_per_atom": -24.0677, "crystal_system": "tetragonal", "e_form_ev_per_atom": -0.58, "spacegroup": "No. 82", "cell": [[0.0000, 0.0000, 5.7135], [-5.7020, 5.7024, 2.8567], [-5.7024, -5.7020, 2.8567]], "species": ["Zr", "Zr", "Zr", "Zr", "Zr", "Zr", "Zr", "Zr", "Zr", "Zr", "Zr", "Zr", "Sb", "Sb", "Sb", "Sb"], "frac_coords": [[0.8956, 0.9741, 0.8136], [0.6833, 0.0259, 0.1864], [0.1303, 0.1864, 0.9741], [0.2908, 0.8136, 0.0259], [0.6164, 0.3833, 0.3323], [0.3320, 0.6167, 0.6677], [0.0003, 0.6677, 0.3833], [0.0514, 0.3323, 0.6167], [0.0218, 0.0319, 0.3994], [0.4531, 0.9681, 0.6006], [0.9463, 0.6006, 0.0319], [0.5788, 0.3994, 0.9681], [0.1817, 0.3257, 0.2538], [0.7612, 0.6743, 0.7462], [0.4926, 0.7462, 0.3257], [0.5645, 0.2538, 0.6743]]}

=====

No. 5
{"formula": "KTi6O12", "functional": "r2SCAN", "state": "relaxed", "energy_ev_per_atom": -11.4058, "crystal_system": "tetragonal", "e_form_ev_per_atom": -3.23, "spacegroup": "No. 87", "cell": [[-5.0928, 5.0933, 4.4441], [5.0928, -5.0933, 4.4441], [5.0926, 5.0931, -4.4441]], "species": ["K", "K", "Ti", "Ti", "Ti", "Ti", "Ti", "Ti", "Ti", "Ti", "Ti", "Ti", "Ti", "Ti", "O", "O", "O", "O", "O", "O", "O", "O", "O", "O", "O", "O", "O", "O", "O", "O", "O", "O", "O", "O", "O", "O", "O", "O"], "frac_coords": [[0.7176, 0.7176, 0.0000], [0.2824, 0.2824, 0.0000], [0.6680, 0.1518, 0.8198], [0.8172, 0.0006, 0.4854], [0.1828, 0.9994, 0.5146], [0.5152, 0.3317, 0.5146], [0.6683, 0.1828, 0.1834], [0.3320, 0.8482, 0.1802], [0.3317, 0.8172, 0.8166], [0.9994, 0.4849, 0.8166], [0.1517, 0.3320, 0.4838], [0.4848, 0.6683, 0.4854], [0.8483, 0.6680, 0.5162], [0.0006, 0.5151, 0.1834], [0.6286, 0.9902, 0.9520], [0.6638, 0.9613, 0.6251], [0.3721, 0.0002, 0.7065], [0.7063, 0.3344, 0.7065], [0.6279, 0.9998, 0.2935], [0.6766, 0.6286, 0.6384], [0.3444, 0.2961, 0.6405], [0.0098, 0.9618, 0.6384], [0.3362, 0.0387, 0.3749], [0.6656, 0.3721, 0.3719], [0.2961, 0.6556, 0.9517], [0.9618, 0.3234, 0.9520], [0.7039, 0.3444, 0.0483], [0.3714, 0.0098, 0.0480], [0.0002, 0.2937, 0.6281], [0.3344, 0.6279, 0.6281], [0.6556, 0.7039, 0.3595], [0.9902, 0.0382, 0.3616], [0.3234, 0.3714, 0.3616], [0.0387, 0.6638, 0.7025], [0.9613, 0.3362, 0.2975], [0.2937, 0.6656, 0.2935], [0.9998, 0.7063, 0.3719], [0.0382, 0.6766, 0.0480]]}

=====

No. 6
{"formula": "PrAlPd2", "functional": "r2SCAN", "state": "relaxed", "energy_ev_per_atom": -21.4020, "crystal_system": "orthorhombic", "e_form_ev_per_atom": -0.89, "spacegroup": "No. 62", "cell": [[5.8885, 0.0000, 0.0000], [0.0000, 7.0260, 0.0000], [0.0000, 0.0000, 7.5731]], "species": ["Pr", "Pr", "Pr", "Pr", "Al", "Al", "Al", "Al", "Pd", "Pd", "Pd", "Pd", "Pd", "Pd", "Pd", "Pd"], "frac_coords": [[0.3460, 0.7500, 0.0330], [0.1540, 0.7500, 0.5330], [0.6540, 0.2500, 0.9670], [0.8460, 0.2500, 0.4670], [0.6548, 0.7500, 0.3801], [0.8452, 0.7500, 0.8801], [0.3452, 0.2500, 0.6199], [0.1548, 0.2500, 0.1199], [0.9125, 0.5533, 0.1754], [0.5875, 0.9467, 0.6754], [0.0875, 0.0533, 0.8246], [0.4125, 0.4467, 0.3246], [0.0875, 0.4467, 0.8246], [0.4125, 0.0533, 0.3246], [0.9125, 0.9467, 0.1754], [0.5875, 0.5533, 0.6754]]}

=====

No. 7
{"formula": "ErInPd2", "functional": "r2SCAN", "state": "relaxed", "energy_ev_per_atom": -26.5054, "crystal_system": "cubic", "e_form_ev_per_atom": -0.90, "spacegroup": "No. 225", "cell": [[-4.6837, 0.4449, -0.6104], [-2.8224, -3.7854, 0.4610], [-2.9205, -0.3420, 3.7231]], "species": ["Er", "In", "Pd", "Pd"], "frac_coords": [[0.5000, 0.5000, 0.5000], [0.0000, 0.0000, 0.0000], [0.7500, 0.7500, 0.7500], [0.2500, 0.2500, 0.2500]]}

=====

No. 8
{"formula": "Cu2SiSe3", "functional": "r2SCAN", "state": "relaxed", "energy_ev_per_atom": -12.5860, "crystal_system": "monoclinic", "e_form_ev_per_atom": -0.35, "spacegroup": "No. 9", "cell": [[6.6078, 0.0337, 1.0166], [1.6044, 5.5813, 3.2828], [0.0313, 0.0108, 6.7443]], "species": ["Cu", "Cu", "Cu", "Cu", "Si", "Si", "Se", "Se", "Se", "Se", "Se", "Se"], "frac_coords": [[0.5026, 0.2332, 0.5096], [0.0026, 0.7428, 0.4904], [0.5002, 0.5841, 0.8260], [0.0002, 0.4101, 0.1740], [0.5243, 0.8858, 0.1697], [0.0243, 0.0555, 0.8303], [0.1226, 0.6987, 0.8305], [0.6226, 0.5292, 0.1695], [0.6269, 0.8671, 0.4839], [0.1269, 0.3510, 0.5161], [0.1449, 0.0306, 0.1571], [0.6449, 0.1877, 0.8429]]}